No. 1
## LiMn4P6O21 (PBE+U)

Data for an optimized crystal structure of LiMn4P6O21.

Calculated values
E_form	-2.48	eV/atom
calculated total energy	-933.242	eV per cell
total magnetic moment	17.0	μB/f.u.
space group	P2_1/c, No. 14

Unit cell a=7.6694 b=9.6108 c=22.1840 alpha=90.00 beta=90.00 gamma=89.59
Fractional positions:
Li 0.9701 0.7761 0.6114
Li 0.5299 0.7239 0.1114
Li 0.4701 0.2761 0.8886
Li 0.0299 0.2239 0.3886
Mn 0.9408 0.7757 0.2556
Mn 0.5592 0.7243 0.7556
Mn 0.4408 0.2757 0.2444
Mn 0.0592 0.2243 0.7444
Mn 0.9602 0.7098 0.7601
Mn 0.9671 0.2697 0.5124
Mn 0.5329 0.2303 0.0124
Mn 0.5398 0.7902 0.2601
Mn 0.4602 0.2098 0.7399
Mn 0.4671 0.7697 0.9876
Mn 0.0329 0.7303 0.4876
Mn 0.0398 0.2902 0.2399
Mn 0.9412 0.2445 0.9947
Mn 0.5588 0.2555 0.4947
Mn 0.4412 0.7445 0.5053
Mn 0.0588 0.7555 0.0053
P 0.7622 0.9971 0.6850
P 0.7710 0.8342 0.8847
P 0.7571 0.1588 0.8545
P 0.7566 0.4456 0.6997
P 0.7384 0.9672 0.5465
P 0.7322 0.5315 0.5630
P 0.7678 0.9685 0.0630
P 0.7616 0.5328 0.0465
P 0.7434 0.0544 0.1997
P 0.7429 0.3412 0.3545
P 0.7290 0.6658 0.3847
P 0.7378 0.5029 0.1850
P 0.2622 0.4971 0.8150
P 0.2710 0.3342 0.6153
P 0.2571 0.6588 0.6455
P 0.2566 0.9456 0.8003
P 0.2384 0.4672 0.9535
P 0.2322 0.0315 0.9370
P 0.2678 0.4685 0.4370
P 0.2616 0.0328 0.4535
P 0.2434 0.5544 0.3003
P 0.2429 0.8412 0.1455
P 0.2290 0.1658 0.1153
P 0.2378 0.0029 0.3150
O 0.9423 0.5979 0.0439
O 0.9342 0.3786 0.7080
O 0.9203 0.7999 0.9264
O 0.8943 0.6196 0.5571
O 0.9175 0.2078 0.8217
O 0.9257 0.0745 0.7045
O 0.9397 0.8923 0.0534
O 0.9181 0.3216 0.3181
O 0.9111 0.6894 0.4093
O 0.9078 0.4248 0.1846
O 0.9004 0.1326 0.2203
O 0.8807 0.8956 0.5117
O 0.8111 0.9509 0.6155
O 0.7843 0.9954 0.8654
O 0.7832 0.7501 0.8242
O 0.7737 0.0238 0.1306
O 0.7766 0.2655 0.4145
O 0.7511 0.8531 0.7164
O 0.7571 0.5893 0.7327
O 0.7684 0.3735 0.0332
O 0.7563 0.1009 0.0232
O 0.7437 0.3991 0.5232
O 0.7316 0.1265 0.5332
O 0.7429 0.9107 0.2327
O 0.7489 0.6469 0.2164
O 0.7234 0.2345 0.9145
O 0.7263 0.4762 0.6306
O 0.7168 0.7499 0.3242
O 0.7157 0.5046 0.3654
O 0.6889 0.5491 0.1155
O 0.6193 0.6044 0.0117
O 0.5996 0.3674 0.7203
O 0.5922 0.0752 0.6846
O 0.5889 0.8106 0.9093
O 0.5819 0.1784 0.8181
O 0.5603 0.6077 0.5534
O 0.5743 0.4255 0.2045
O 0.5825 0.2922 0.3217
O 0.6057 0.8804 0.0571
O 0.5797 0.7001 0.4264
O 0.5658 0.1214 0.2080
O 0.5577 0.9021 0.5439
O 0.4423 0.0979 0.4561
O 0.4342 0.8786 0.7920
O 0.4203 0.2999 0.5736
O 0.3943 0.1196 0.9429
O 0.4175 0.7078 0.6783
O 0.4257 0.5745 0.7955
O 0.4397 0.3923 0.4466
O 0.4181 0.8216 0.1819
O 0.4111 0.1894 0.0907
O 0.4078 0.9248 0.3154
O 0.4004 0.6326 0.2797
O 0.3807 0.3956 0.9883
O 0.3111 0.4509 0.8845
O 0.2843 0.4954 0.6346
O 0.2832 0.2501 0.6758
O 0.2737 0.5238 0.3694
O 0.2766 0.7655 0.0855
O 0.2511 0.3531 0.7836
O 0.2571 0.0893 0.7673
O 0.2684 0.8735 0.4668
O 0.2563 0.6009 0.4768
O 0.2437 0.8991 0.9768
O 0.2316 0.6265 0.9668
O 0.2429 0.4107 0.2673
O 0.2489 0.1469 0.2836
O 0.2234 0.7345 0.5855
O 0.2263 0.9762 0.8694
O 0.2168 0.2499 0.1758
O 0.2157 0.0046 0.1346
O 0.1889 0.0491 0.3845
O 0.1193 0.1044 0.4883
O 0.0996 0.8674 0.7797
O 0.0922 0.5752 0.8154
O 0.0889 0.3106 0.5907
O 0.0819 0.6784 0.6819
O 0.0603 0.1077 0.9466
O 0.0743 0.9255 0.2955
O 0.0825 0.7922 0.1783
O 0.1057 0.3804 0.4429
O 0.0797 0.2001 0.0736
O 0.0658 0.6214 0.2920
O 0.0577 0.4021 0.9561



No. 2
## CaFeF6 (PBE+U)

Data for an optimized crystal structure of CaFeF6.

Calculated values
E_form	-2.92	eV/atom
calculated total energy	-40.255	eV per cell
space group	R-3, No. 148

Unit cell a=5.7750 b=5.7750 c=5.7750 alpha=58.08 beta=58.08 gamma=58.08
Fractional positions:
Ca 0.5000 0.5000 0.5000
Fe 0.0000 0.0000 0.0000
F 0.6837 0.8667 0.2229
F 0.8667 0.2229 0.6837
F 0.7771 0.3163 0.1333
F 0.1333 0.7771 0.3163
F 0.3163 0.1333 0.7771
F 0.2229 0.6837 0.8667



No. 3
## CdMoPO6 (PBE+U)

Data for an optimized crystal structure of CdMoPO6.

Calculated values
E_form	-2.22	eV/atom
calculated total energy	-238.145	eV per cell
total magnetic moment	1.0	μB/f.u.
space group	P2_1/c, No. 14

Unit cell a=8.6767 b=4.9877 c=11.8404 alpha=71.00 beta=90.00 gamma=90.00
Fractional positions:
Cd 0.8283 0.6715 0.4240
Cd 0.3283 0.3285 0.0760
Cd 0.6717 0.6715 0.9240
Cd 0.1717 0.3285 0.5760
Mo 0.9102 0.9888 0.1139
Mo 0.0898 0.0112 0.8861
Mo 0.4102 0.0112 0.3861
Mo 0.5898 0.9888 0.6139
P 0.5576 0.6814 0.2094
P 0.4424 0.3186 0.7906
P 0.0576 0.3186 0.2906
P 0.9424 0.6814 0.7094
O 0.3901 0.1277 0.5348
O 0.0196 0.5903 0.1889
O 0.5364 0.0595 0.7769
O 0.4636 0.9405 0.2231
O 0.9812 0.6572 0.5860
O 0.0364 0.9405 0.7231
O 0.6099 0.8723 0.4652
O 0.4812 0.3428 0.9140
O 0.4804 0.5903 0.6889
O 0.9804 0.4097 0.8111
O 0.5196 0.4097 0.3111
O 0.1099 0.1277 0.0348
O 0.7132 0.2781 0.5618
O 0.2324 0.2612 0.2761
O 0.5188 0.6572 0.0860
O 0.2676 0.2612 0.7761
O 0.7676 0.7388 0.7239
O 0.2868 0.7219 0.4382
O 0.7324 0.7388 0.2239
O 0.9636 0.0595 0.2769
O 0.8901 0.8723 0.9652
O 0.0188 0.3428 0.4140
O 0.2132 0.7219 0.9382
O 0.7868 0.2781 0.0618



No. 4
## KMg14FeO16 (PBE+U)

Data for an optimized crystal structure of KMg14FeO16.

Calculated values
E_form	-2.77	eV/atom
calculated total energy	-186.571	eV per cell
total magnetic moment	5.0	μB/f.u.
energy above the lowest structure with this stoichiometry	0	kJ/mol of formula units
space group	Pmmm, No. 47

Unit cell a=8.6317 b=8.5910 c=4.3928 alpha=90.00 beta=90.00 gamma=90.00
Fractional positions:
K 0.0000 0.5000 0.0000
Mg 0.5000 0.0000 0.0000
Mg 0.5000 0.5000 0.0000
Mg 0.0000 0.2540 0.5000
Mg 0.0000 0.7460 0.5000
Mg 0.5000 0.2516 0.5000
Mg 0.5000 0.7484 0.5000
Mg 0.2527 0.0000 0.5000
Mg 0.2522 0.5000 0.5000
Mg 0.7473 0.0000 0.5000
Mg 0.7478 0.5000 0.5000
Mg 0.2558 0.2525 0.0000
Mg 0.2558 0.7475 0.0000
Mg 0.7442 0.2525 0.0000
Mg 0.7442 0.7475 0.0000
Fe 0.0000 0.0000 0.0000
O 0.2481 0.0000 0.0000
O 0.2750 0.5000 0.0000
O 0.7519 0.0000 0.0000
O 0.7250 0.5000 0.0000
O 0.2494 0.2479 0.5000
O 0.2494 0.7521 0.5000
O 0.7506 0.2479 0.5000
O 0.7506 0.7521 0.5000
O 0.0000 0.0000 0.5000
O 0.0000 0.5000 0.5000
O 0.5000 0.0000 0.5000
O 0.5000 0.5000 0.5000
O 0.0000 0.2217 0.0000
O 0.0000 0.7783 0.0000
O 0.5000 0.2424 0.0000
O 0.5000 0.7576 0.0000



No. 5
## NaLi5Fe2P2C2O14 (PBE+U)

Data for an optimized crystal structure of NaLi5Fe2P2C2O14.

Calculated values
E_form	-2.33	eV/atom
calculated total energy	-345.490	eV per cell
total magnetic moment	8.0	μB/f.u.
energy above the lowest structure with this stoichiometry	0	kJ/mol of formula units
space group	Pc, No. 7

Unit cell a=6.5538 b=8.5553 c=10.1868 alpha=84.53 beta=90.00 gamma=90.00
Fractional positions:
Na 0.2535 0.2602 0.6340
Na 0.7465 0.2602 0.1340
Li 0.5128 0.0988 0.8859
Li 0.4872 0.0988 0.3859
Li 0.7202 0.2846 0.6267
Li 0.2798 0.2846 0.1267
Li 0.7790 0.7183 0.8750
Li 0.2310 0.7254 0.8712
Li 0.7690 0.7254 0.3712
Li 0.2210 0.7183 0.3750
Li 0.9806 0.9062 0.6221
Li 0.0194 0.9062 0.1221
Fe 0.0051 0.3353 0.8926
Fe 0.9949 0.3353 0.3926
Fe 0.4965 0.6697 0.6027
Fe 0.5035 0.6697 0.1027
P 0.5043 0.4145 0.8570
P 0.4957 0.4145 0.3570
P 0.9911 0.5904 0.6346
P 0.0089 0.5904 0.1346
C 0.9938 0.0324 0.8540
C 0.0062 0.0324 0.3540
C 0.5070 0.9631 0.6550
C 0.4930 0.9631 0.1550
O 0.5333 0.1031 0.6900
O 0.4667 0.1031 0.1900
O 0.9918 0.0656 0.9752
O 0.0082 0.0656 0.4752
O 0.9947 0.1478 0.7606
O 0.0053 0.1478 0.2606
O 0.3197 0.3057 0.9031
O 0.6919 0.3148 0.9093
O 0.3080 0.3148 0.4093
O 0.6803 0.3057 0.4031
O 0.5129 0.4374 0.7036
O 0.9684 0.4275 0.5837
O 0.4871 0.4374 0.2036
O 0.0316 0.4275 0.0837
O 0.4935 0.5761 0.9112
O 0.0000 0.5710 0.7888
O 0.5065 0.5761 0.4112
O 0.0000 0.5710 0.2888
O 0.8122 0.7031 0.5866
O 0.1836 0.6802 0.5776
O 0.8164 0.6802 0.0776
O 0.1878 0.7031 0.0866
O 0.4898 0.8442 0.7454
O 0.5102 0.8442 0.2454
O 0.4978 0.9358 0.5322
O 0.5022 0.9358 0.0322
O 0.9953 0.8887 0.8221
O 0.0047 0.8887 0.3221



No. 6
## NaNi3P4H8NO16 (PBE+U)

Data for an optimized crystal structure of NaNi3P4H8NO16.

Calculated values
E_form	-1.89	eV/atom
calculated total energy	-397.356	eV per cell
total magnetic moment	6.0	μB/f.u.
space group	C2/c, No. 15

Unit cell a=10.4104 b=10.4104 c=9.1974 alpha=72.90 beta=72.90 gamma=45.56
Fractional positions:
Na 0.5391 0.4609 0.2500
Na 0.4609 0.5391 0.7500
Ni 0.2035 0.4265 0.4320
Ni 0.4265 0.2035 0.9320
Ni 0.0000 0.5000 0.0000
Ni 0.5735 0.7965 0.0680
Ni 0.5000 0.0000 0.5000
Ni 0.7965 0.5735 0.5680
P 0.2143 0.5850 0.0863
P 0.8478 0.7529 0.2420
P 0.5850 0.2143 0.5863
P 0.7529 0.8478 0.7420
P 0.2471 0.1522 0.2580
P 0.4150 0.7857 0.4137
P 0.1522 0.2471 0.7580
P 0.7857 0.4150 0.9137
H 0.8863 0.1065 0.3434
H 0.9940 0.9132 0.2754
H 0.1065 0.8863 0.8434
H 0.6469 0.2254 0.0068
H 0.9132 0.9940 0.7754
H 0.6392 0.0825 0.1223
H 0.2254 0.6469 0.5068
H 0.0825 0.6392 0.6223
H 0.9175 0.3608 0.3777
H 0.7746 0.3531 0.4932
H 0.3608 0.9175 0.8777
H 0.0868 0.0060 0.2246
H 0.3531 0.7746 0.9932
H 0.8935 0.1137 0.1566
H 0.0060 0.0868 0.7246
H 0.1137 0.8935 0.6566
N 0.9675 0.0325 0.2500
N 0.0325 0.9675 0.7500
O 0.6740 0.2775 0.4666
O 0.2775 0.6740 0.9666
O 0.3096 0.4900 0.2296
O 0.0016 0.7593 0.1397
O 0.6319 0.1399 0.0131
O 0.6954 0.9395 0.2947
O 0.4900 0.3096 0.7296
O 0.2157 0.4644 0.0197
O 0.9425 0.5972 0.3717
O 0.7593 0.0016 0.6397
O 0.1399 0.6319 0.5131
O 0.2902 0.1998 0.3682
O 0.9395 0.6954 0.7947
O 0.8002 0.7098 0.1318
O 0.4644 0.2157 0.5197
O 0.5972 0.9425 0.8717
O 0.4028 0.0575 0.1283
O 0.5356 0.7843 0.4803
O 0.1998 0.2902 0.8682
O 0.0605 0.3046 0.2053
O 0.7098 0.8002 0.6318
O 0.8601 0.3681 0.4869
O 0.2407 0.9984 0.3603
O 0.0575 0.4028 0.6283
O 0.7843 0.5356 0.9803
O 0.5100 0.6904 0.2704
O 0.3046 0.0605 0.7053
O 0.3681 0.8601 0.9869
O 0.9984 0.2407 0.8603
O 0.6904 0.5100 0.7704
O 0.7225 0.3260 0.0334
O 0.3260 0.7225 0.5334



No. 7
## Ba2YW2F11 (PBE+U)

Data for an optimized crystal structure of Ba2YW2F11.

Calculated values
E_form	-3.26	eV/atom
calculated total energy	-286.333	eV per cell
total magnetic moment	0.0	μB/f.u.
space group	P3_2, No. 145

Unit cell a=7.8821 b=7.8821 c=15.1586 alpha=90.00 beta=90.00 gamma=120.00
Fractional positions:
Ba 0.8740 0.9192 0.6756
Ba 0.4954 0.1945 0.8022
Ba 0.0452 0.1260 0.0090
Ba 0.8055 0.3009 0.4689
Ba 0.6991 0.5046 0.1355
Ba 0.0808 0.9548 0.3423
Y 0.5379 0.7011 0.8859
Y 0.1632 0.4621 0.2193
Y 0.2989 0.8368 0.5526
W 0.0084 0.6349 0.8979
W 0.1032 0.4928 0.7339
W 0.5072 0.6105 0.4006
W 0.6265 0.9916 0.2312
W 0.3895 0.8968 0.0673
W 0.3651 0.3735 0.5645
F 0.0885 0.8227 0.0709
F 0.7937 0.3581 0.9262
F 0.7342 0.9115 0.4043
F 0.4133 0.0764 0.4539
F 0.8290 0.9058 0.1915
F 0.2247 0.2454 0.1654
F 0.9236 0.3370 0.1205
F 0.7546 0.9794 0.8320
F 0.0768 0.1710 0.5248
F 0.6483 0.9233 0.0077
F 0.6630 0.5867 0.7872
F 0.1773 0.2658 0.7376
F 0.7518 0.6677 0.9703
F 0.4416 0.1785 0.0352
F 0.9159 0.2482 0.3036
F 0.6419 0.4356 0.5929
F 0.3281 0.8223 0.9161
F 0.2750 0.3517 0.3410
F 0.2758 0.6791 0.4162
F 0.3323 0.0841 0.6369
F 0.4033 0.7242 0.7495
F 0.8215 0.2631 0.7019
F 0.7369 0.5584 0.3685
F 0.4942 0.6719 0.2494
F 0.0767 0.7250 0.6743
F 0.0942 0.9232 0.8582
F 0.5644 0.2063 0.2595
F 0.3443 0.3867 0.9091
F 0.0424 0.6557 0.2425
F 0.3209 0.5967 0.0829
F 0.0206 0.7753 0.4987
F 0.1777 0.5058 0.5827
F 0.6133 0.9576 0.5758



Q: What is the formula in the seventh record?
A: Ba2YW2F11



Q: Among the records above, which one has the highest E_form?
A: NaNi3P4H8NO16



Q: Which of these has the highest calculated total energy?
A: CaFeF6